Entry 1:
Computed, not measured: a relaxed MgCu6OF11 crystal at the PBE level of DFT.

Results
- space group = P1, No. 1
- DFT total energy (eV per atom) = -4.32
- ΔH_f (0 K) (kcal/mol of atoms) = -43.19
- excess energy over the best structure of this formula in the dataset (meV per atom) = 68
- size of the total moment (μB per formula unit) = 0.7

```
MgCu6OF11
1.0
-4.396 -2.322 -2.517
0.419 -3.386 3.287
-5.588 4.402 5.389
Mg Cu O F
1 6 1 11
direct
0.018 0.669 0.759
0.006 0.026 0.027
0.510 0.567 0.051
0.359 0.975 0.304
0.811 0.516 0.329
0.276 0.325 0.576
0.630 0.019 0.681
0.566 0.709 0.243
0.281 0.245 0.106
0.057 0.779 0.245
0.790 0.291 0.085
0.079 0.292 0.403
0.572 0.234 0.428
0.296 0.793 0.623
0.805 0.737 0.593
0.464 0.317 0.758
0.221 0.761 0.932
0.973 0.255 0.728
0.762 0.794 0.903
```



Entry 2:
Computed, not measured: a relaxed MgCu2O4F2 crystal at the PBE level of DFT.

Results
- space group = Pm, No. 6
- DFT total energy (eV per atom) = -4.72
- ΔH_f (0 K) (kcal/mol of atoms) = -27.25
- excess energy over the best structure of this formula in the dataset (meV per atom) = 93
- size of the total moment (μB per formula unit) = 2.0

```
MgCu2O4F2
1.0
0.206 -2.738 1.280
2.310 -1.807 -4.237
6.235 1.448 2.094
Mg Cu O F
1 2 4 2
direct
0.500 0.008 0.493
0.000 0.674 0.168
0.500 0.227 0.840
0.000 0.106 0.687
0.500 0.474 0.385
0.500 0.564 0.561
0.000 0.932 0.330
0.000 0.382 0.003
0.500 0.834 0.001
```



Entry 3:
Computed, not measured: a relaxed MgCu6OF11 crystal at the PBE level of DFT.

Results
- space group = P1, No. 1
- DFT total energy (eV per atom) = -4.36
- ΔH_f (0 K) (kcal/mol of atoms) = -44.19
- excess energy over the best structure of this formula in the dataset (meV per atom) = 25
- size of the total moment (μB per formula unit) = 1.2

```
MgCu6OF11
1.0
2.700 -0.290 -5.040
-0.304 5.085 0.140
6.746 -0.318 4.734
Mg Cu O F
1 6 1 11
direct
0.426 0.562 0.420
0.993 0.979 0.002
0.517 0.485 0.000
0.499 0.971 0.203
0.885 0.524 0.316
0.105 0.523 0.694
0.613 0.029 0.676
0.614 0.644 0.215
0.287 0.212 0.090
0.196 0.755 0.274
0.805 0.184 0.132
0.111 0.364 0.466
0.568 0.232 0.423
0.321 0.793 0.609
0.740 0.746 0.547
0.444 0.292 0.785
0.173 0.720 0.908
0.910 0.231 0.763
0.706 0.769 0.905
```



> What is the formula in the second record?

MgCu2O4F2